Computed, not measured: crystalline SiO2 at its relaxed geometry at the GGA-PBE level of DFT.

Values from the calculation:
* DFT total energy: -142.31 eV per cell
* calculated formation energy: -3.257 eV/atom
* density: 1.84 g cm⁻³

a b c (Å): 5.283 7.511 8.188
angles (deg): 90.00 90.00 90.00
Space group Pmma (No. 51)
Inequivalent atoms, fractional coordinates:
Si 0.250 0.000 0.113 (multiplicity 2)
Si 0.250 0.289 0.395 (multiplicity 4)
O 0.000 0.000 0.000 (multiplicity 2)
O 0.000 0.237 0.500 (multiplicity 4)
O 0.250 0.178 0.225 (multiplicity 4)
O 0.250 0.500 0.351 (multiplicity 2)